The following is a PBE calculation of Sn3S after structural relaxation, from Materials Project.

Values from the calculation:
- Raw total energy: -15.8 eV/f.u.
- V: 24.59 A^3/atom
- Total magnetic moment: 0.00 Bohr magnetons per cell
- ΔE_f: -2.7 kJ per mole of atoms

Geometry as POSCAR:
```
Sn3S
1.0
2.6843 -3.3651 2.8845
1.6443 1.3678 4.7196
-2.1648 -2.1079 4.2095
Sn S
3 1
Cartesian
0.5410 -1.0263 2.9534 Sn
1.0819 -2.0526 5.9068 Sn
1.6229 -3.0789 8.8602 Sn
0.0000 0.0000 0.0000 S
```

The following is a PBE calculation of Nd2As3Rh3 after structural relaxation, from Materials Project.

Values from the calculation:
- Raw total energy: -34.2 eV/f.u.
- V: 76.57 A^3/atom
- Total magnetic moment: 2.00 Bohr magnetons per cell
- ΔE_f: 137.6 kJ per mole of atoms

Geometry as POSCAR:
```
Nd2As3Rh3
1.0
-1.0819 -5.2429 -1.6867
2.2259 -1.9885 4.7534
-17.4523 0.8569 8.5311
Rh Nd As
3 2 3
Cartesian
-14.7545 -2.8632 9.0253 Rh
-8.1541 -3.1873 5.7989 Rh
-1.5538 -3.5113 2.5725 Rh
-12.7473 -2.9618 8.0442 Nd
-3.5610 -3.4128 3.5537 Nd
0.5720 -3.6157 1.5334 As
-10.1891 -3.0874 6.7937 As
-6.1191 -3.2872 4.8042 As
```

The following is a PBE calculation of NaAs3H2O9 after structural relaxation, from Materials Project.

Values from the calculation:
- Raw total energy: -85.1 eV/f.u.
- V: 12.23 A^3/atom
- Total magnetic moment: 0.00 Bohr magnetons per cell
- ΔE_f: -158.6 kJ per mole of atoms

Geometry as POSCAR:
```
NaAs3H2O9
1.0
7.3386 0.0000 0.0000
-2.1532 7.4104 0.0000
-2.4179 -3.6379 6.7483
O As H Na
18 6 4 2
Cartesian
4.2569 -1.3722 5.2317 O
1.8362 0.4603 6.5316 O
2.3760 2.8696 2.3761 O
-2.1985 1.7381 4.6023 O
4.9659 2.0343 2.1460 O
-0.3467 3.2492 3.3776 O
0.3915 0.9029 4.3722 O
-1.4528 -0.3339 3.1044 O
0.3011 2.9040 6.4422 O
0.1018 1.1071 1.7548 O
-1.4895 5.1447 1.5165 O
4.2203 4.1064 3.6439 O
2.6657 2.6654 4.9935 O
3.1142 0.5232 3.3706 O
0.9313 3.3121 0.2166 O
2.4664 0.8684 0.3060 O
1.5448 5.5155 2.4634 O
1.2227 -1.7430 4.2849 O
4.2747 -0.7676 3.6747 As
-1.5072 4.5400 3.0736 As
1.2425 1.8280 5.6195 As
3.7321 2.2966 3.5305 As
-0.9646 1.4758 3.2178 As
1.5250 1.9444 1.1288 As
1.9790 4.6196 2.5273 H
4.8772 4.4706 0.5247 H
-2.1097 -0.6982 6.2236 H
0.7885 -0.8472 4.2210 H
0.4376 5.9412 0.2740 Na
2.3299 -2.1687 6.4742 Na
```

The following is a PBE calculation of Pr14Au51 after structural relaxation, from Materials Project.

Values from the calculation:
- Raw total energy: -274.9 eV/f.u.
- V: 21.52 A^3/atom
- Total magnetic moment: 0.10 Bohr magnetons per cell
- ΔE_f: -60.9 kJ per mole of atoms

Geometry as POSCAR:
```
Pr14Au51
1.0
6.5254 -11.3024 0.0000
6.5254 11.3024 0.0000
0.0000 0.0000 9.4823
Pr Au
14 51
Cartesian
7.8956 5.9540 4.7412 Pr
6.5254 -3.7675 6.6653 Pr
7.5189 -8.1097 0.0000 Pr
2.2682 -2.4567 0.0000 Pr
7.7340 1.4876 4.7412 Pr
5.3201 -9.0513 4.7412 Pr
4.4471 6.1908 0.0000 Pr
5.4660 0.7559 0.0000 Pr
9.6632 4.3557 0.0000 Pr
2.5521 -0.0817 4.7412 Pr
9.7892 -0.7360 0.0000 Pr
11.7040 -2.1694 4.7412 Pr
6.5254 -3.7675 2.8171 Pr
3.9467 3.8608 4.7412 Pr
8.2517 1.8122 1.4512 Au
4.2866 -1.5271 2.2443 Au
4.5459 -5.7528 4.7412 Au
5.7046 -6.8266 7.2380 Au
4.2866 -1.5271 7.2380 Au
7.3426 -0.7664 2.1833 Au
11.3101 1.9024 8.0504 Au
5.7483 8.8436 8.0504 Au
6.5254 3.7675 2.8774 Au
5.9763 -2.2098 0.0000 Au
8.0021 8.7376 6.3141 Au
5.7483 8.8436 1.4319 Au
9.4688 3.7336 6.2976 Au
3.5178 -4.5603 2.1833 Au
9.4688 3.7336 3.1848 Au
5.7046 -6.8266 2.2443 Au
8.0021 8.7376 3.1682 Au
5.0831 6.3335 3.1848 Au
2.5179 0.5564 1.4319 Au
9.5851 -2.9487 7.2380 Au
3.9691 3.2501 8.0311 Au
8.2517 1.8122 8.0311 Au
1.4828 2.5612 3.1682 Au
9.2346 -4.4891 4.7412 Au
9.5851 -2.9487 2.2443 Au
2.5179 0.5564 8.0504 Au
10.0914 0.0035 6.3141 Au
6.5254 3.7675 6.6050 Au
8.1490 -4.0707 0.0000 Au
7.2578 -6.4536 4.7412 Au
0.0000 0.0000 0.0000 Au
8.4855 -1.7902 4.7412 Au
3.9691 3.2501 1.4512 Au
7.3426 -0.7664 7.2991 Au
5.4510 -5.0219 0.0000 Au
3.5178 -4.5603 7.2991 Au
11.3101 1.9024 1.4319 Au
8.7159 -5.9757 7.2991 Au
5.0831 6.3335 6.2976 Au
3.8330 -3.0586 4.7412 Au
1.4828 2.5612 6.3141 Au
0.0000 0.0000 2.8783 Au
5.0244 1.2353 3.1848 Au
0.0000 0.0000 6.6040 Au
7.3556 6.2400 1.4512 Au
5.7958 -1.0605 4.7412 Au
8.7159 -5.9757 2.1833 Au
10.0914 0.0035 3.1682 Au
5.0244 1.2353 6.2976 Au
7.3556 6.2400 8.0311 Au
6.5254 3.7675 0.0000 Au
```

The following is a PBE calculation of NaAl11O17 after structural relaxation, from Materials Project.

Values from the calculation:
- ΔE to the lowest computed polymorph: 0.11 eV per formula unit
- Raw total energy: -212.3 eV/f.u.
- V: 10.82 A^3/atom
- Total magnetic moment: 0.00 Bohr magnetons per cell
- ΔE_f: -323.9 kJ per mole of atoms

Geometry as POSCAR:
```
NaAl11O17
1.0
2.8251 4.8922 0.0000
-2.8251 4.8922 0.0000
0.0000 3.2306 22.7034
O Al Na
34 22 2
Cartesian
0.0000 11.4363 14.6895 O
0.0000 9.7748 3.2196 O
1.4305 4.0697 8.0559 O
1.4010 5.6870 19.4140 O
1.3220 7.2744 10.2153 O
1.3342 5.7352 12.4926 O
0.0000 8.0468 12.4940 O
-1.4010 5.6870 19.4140 O
-1.5029 8.8888 21.5640 O
1.3713 7.3268 3.3397 O
-1.4305 4.0697 8.0559 O
0.0000 3.2101 5.6815 O
1.4937 4.1191 1.1364 O
0.0000 4.9236 3.3169 O
0.0000 8.1144 19.4148 O
0.0000 3.2346 19.4205 O
-1.4937 4.1191 1.1364 O
0.0000 4.9811 10.2058 O
0.0000 1.5401 1.1499 O
0.0000 6.4937 21.4467 O
-1.3220 7.2744 10.2153 O
-1.3713 7.3268 3.3397 O
1.4484 8.9293 14.6900 O
0.0000 11.4905 21.5617 O
-1.3342 5.7352 12.4926 O
0.0000 9.7704 10.0931 O
-1.4484 8.9293 14.6900 O
0.0000 9.7614 17.0362 O
0.0000 6.5218 8.0720 O
1.5029 8.8888 21.5640 O
0.0000 6.5248 1.2522 O
0.0000 1.6141 8.0665 O
0.0000 6.5039 14.5682 O
0.0000 3.2445 12.6062 O
1.4071 5.7121 2.4398 Al
0.0000 3.2691 3.9847 Al
1.4001 7.3035 20.2607 Al
0.0000 9.7555 22.1138 Al
0.0000 6.5050 11.3468 Al
1.4247 5.6905 8.8972 Al
-1.4247 5.6905 8.8972 Al
0.0000 8.1460 2.3955 Al
0.0000 4.8659 13.7785 Al
0.0000 4.8800 20.2600 Al
0.0000 3.2573 7.3756 Al
0.0000 9.7642 15.3420 Al
0.0000 8.1586 8.9294 Al
0.0000 3.2604 0.5605 Al
-1.4001 7.3035 20.2607 Al
-1.4071 5.7121 2.4398 Al
0.0000 3.2344 22.6980 Al
-1.4185 7.3230 13.7781 Al
0.0000 3.2479 10.7642 Al
0.0000 9.7680 11.9106 Al
0.0000 9.7583 18.7293 Al
1.4185 7.3230 13.7781 Al
0.0000 7.0442 5.5004 Na
0.0000 3.2387 16.8326 Na
```

The following is a PBE calculation of Ba7In2Se6F8 after structural relaxation, from Materials Project.

Values from the calculation:
- Raw total energy: -116.3 eV/f.u.
- V: 25.30 A^3/atom
- Total magnetic moment: 0.00 Bohr magnetons per cell
- ΔE_f: -271.8 kJ per mole of atoms

Geometry as POSCAR:
```
Ba7In2Se6F8
1.0
2.3388 -12.0115 -2.2673
6.2986 -10.2236 -3.2699
4.3073 -4.2935 9.3555
F Se In Ba
8 6 2 7
Cartesian
5.0476 -12.1662 -1.7598 F
9.2141 -21.9300 -2.7155 F
8.9126 -17.2799 4.3862 F
4.0322 -9.2488 -0.5678 F
7.8971 -14.3625 5.5781 F
3.7306 -4.5986 6.5339 F
1.0013 -2.5542 -0.6000 F
11.9434 -23.9744 4.4183 F
8.1019 -17.4733 0.8393 Se
2.1752 -3.0948 3.0724 Se
4.8428 -9.0553 2.9790 Se
10.7695 -23.4339 0.7460 Se
10.2343 -20.5771 3.7265 Se
2.7104 -5.9515 0.0918 Se
3.1099 -5.4470 2.5692 In
9.8349 -21.0817 1.2491 In
7.4625 -14.8325 3.0232 Ba
4.7600 -7.0897 6.1569 Ba
0.0000 0.0000 0.0000 Ba
7.0233 -11.9745 6.3854 Ba
8.1848 -19.4390 -2.3386 Ba
5.4823 -11.6962 0.7951 Ba
5.9214 -14.5542 -2.5670 Ba
```

The following is a PBE calculation of LiTm2Au after structural relaxation, from Materials Project.

Values from the calculation:
- Raw total energy: -15.9 eV/f.u.
- V: 22.57 A^3/atom
- Total magnetic moment: 0.00 Bohr magnetons per cell
- ΔE_f: -41.8 kJ per mole of atoms

Geometry as POSCAR:
```
LiTm2Au
1.0
0.0000 3.5605 3.5605
3.5605 0.0000 3.5605
3.5605 3.5605 0.0000
Tm Li Au
2 1 1
Cartesian
5.3408 5.3408 5.3408 Tm
1.7803 1.7803 1.7803 Tm
0.0000 0.0000 0.0000 Li
3.5605 3.5605 3.5605 Au
```

The following is a PBE calculation of Ta3N after structural relaxation, from Materials Project.

Values from the calculation:
- Raw total energy: -45.7 eV/f.u.
- V: 14.98 A^3/atom
- Total magnetic moment: 0.01 Bohr magnetons per cell
- ΔE_f: -52.6 kJ per mole of atoms

Geometry as POSCAR:
```
Ta3N
1.0
-2.5928 0.7095 -1.4031
1.3999 -2.6143 -0.6324
-3.8901 -3.4055 5.4665
Ta N
3 1
Cartesian
-4.4754 -3.2116 3.3695 Ta
-0.6076 -2.0987 0.0615 Ta
-1.9451 -1.7027 2.7332 Ta
0.0000 0.0000 0.0000 N
```

The following is a PBE calculation of K3Th after structural relaxation, from Materials Project.

Values from the calculation:
- ΔE to the lowest computed polymorph: 0.00 eV per formula unit
- Raw total energy: -6.9 eV/f.u.
- V: 52.66 A^3/atom
- Total magnetic moment: 1.11 Bohr magnetons per cell
- ΔE_f: 92.2 kJ per mole of atoms

Geometry as POSCAR:
```
K3Th
1.0
-1.7192 -7.1254 -2.5238
-5.1453 -4.1753 4.0238
0.4858 7.1461 -2.9657
Th K
1 3
Cartesian
0.0000 0.0000 0.0000 Th
-4.0459 -1.3398 0.9040 K
-2.3328 -2.8149 -2.3698 K
-3.4323 -5.6504 0.7500 K
```

The following is a PBE calculation of Ca5Hf2N6 after structural relaxation, from Materials Project.

Values from the calculation:
- Raw total energy: -94.0 eV/f.u.
- V: 18.79 A^3/atom
- Total magnetic moment: 0.00 Bohr magnetons per cell
- ΔE_f: -120.2 kJ per mole of atoms

Geometry as POSCAR:
```
Ca5Hf2N6
1.0
6.2652 0.2824 0.3577
-3.1889 5.1829 0.0000
-1.3696 -0.8427 14.5364
N Ca Hf
12 10 4
Cartesian
-1.0376 3.3180 10.0070 N
-3.0247 4.4717 5.2168 N
-1.2456 0.0458 12.4850 N
2.9522 4.5767 2.4090 N
0.0403 3.7488 6.8550 N
2.7442 1.3045 4.8871 N
-0.0100 3.1824 2.7388 N
4.7313 0.1508 9.6772 N
1.7166 1.4401 12.1552 N
2.2158 1.5149 0.7709 N
1.6663 0.8737 8.0391 N
-0.5092 3.1076 14.1232 N
-2.3352 1.4938 10.9023 Ca
0.8943 0.9439 3.2616 Ca
1.1457 4.6711 4.3642 Ca
2.3072 3.0813 6.9775 Ca
0.5609 -0.0485 10.5298 Ca
-1.3991 4.3734 0.6483 Ca
0.8123 3.6786 11.6324 Ca
-2.2233 2.8463 3.6341 Ca
-0.6006 1.5412 7.9165 Ca
3.1057 0.2491 14.2457 Ca
0.1253 1.2299 13.4092 Hf
1.5813 3.3926 1.4849 Hf
1.8392 -0.0213 6.1410 Hf
-0.1326 4.6438 8.7531 Hf
```

The following is a PBE calculation of NaSi5N7 after structural relaxation, from Materials Project.

Values from the calculation:
- Raw total energy: -100.3 eV/f.u.
- V: 11.51 A^3/atom
- Total magnetic moment: 0.00 Bohr magnetons per cell
- ΔE_f: -118.6 kJ per mole of atoms

Geometry as POSCAR:
```
NaSi5N7
1.0
11.6648 0.0000 0.0000
0.0000 20.9090 0.0000
0.0000 0.0000 4.9079
N Si Na
56 40 8
Cartesian
9.8195 13.4036 1.4962 N
2.9436 13.0425 2.3070 N
3.9392 7.4821 1.9994 N
0.7728 14.2575 2.3292 N
4.7286 2.1392 2.3385 N
7.3586 1.5028 1.4818 N
7.6776 2.9491 3.9502 N
0.1831 20.2023 3.9580 N
8.3484 16.7474 4.7785 N
11.5918 18.8115 1.5058 N
2.8888 2.5880 4.7610 N
5.6493 9.7478 1.5040 N
10.1761 14.7608 3.9502 N
6.9839 5.7349 3.9680 N
10.8922 17.5187 3.9529 N
11.4817 0.7067 1.5040 N
5.0598 13.8449 3.9529 N
2.3669 20.3226 2.0132 N
9.7716 2.9724 1.9994 N
6.6052 17.1060 2.3292 N
1.4886 6.1483 1.4962 N
10.5610 8.3153 2.3385 N
10.8919 6.6515 4.7832 N
4.3062 19.4062 3.9358 N
6.9361 18.7698 4.7925 N
11.0772 10.9154 1.4702 N
5.7594 12.5521 1.5058 N
5.2448 20.4481 1.4702 N
10.1386 11.9574 3.9358 N
1.5262 8.9517 1.4818 N
7.7256 13.4269 4.4534 N
3.4655 9.8681 4.4672 N
8.1992 11.0409 2.0132 N
1.1038 12.5937 4.7925 N
6.0154 11.1613 3.9580 N
4.6809 15.1741 1.5141 N
1.8452 7.5054 3.9502 N
0.5876 9.9936 3.9242 N
1.8932 17.9366 4.4534 N
8.7212 7.8665 4.7610 N
1.1515 4.7196 3.9680 N
2.5160 14.6161 4.7785 N
3.3164 4.1616 2.3246 N
0.0729 2.0976 3.9597 N
8.7759 18.3210 2.3070 N
9.1487 6.2929 2.3246 N
4.3438 16.6028 3.9502 N
0.7726 3.3904 1.4990 N
10.5132 16.1894 1.5141 N
7.3210 4.3063 1.4962 N
3.9871 17.9599 1.4962 N
6.6049 7.0642 1.4990 N
6.4200 0.4609 3.9242 N
5.9053 8.3570 3.9597 N
9.2979 0.5864 4.4672 N
5.0595 3.8030 4.7832 N
11.5503 11.3504 4.7519 Si
4.6297 13.5877 2.3107 Si
10.0198 16.2670 4.7593 Si
5.7179 20.0132 4.7519 Si
7.8037 1.3137 4.6840 Si
5.9469 0.8959 2.2980 Si
7.6390 17.7558 1.0886 Si
4.0257 3.1532 3.5425 Si
10.4621 17.7758 2.3107 Si
4.1875 15.0966 4.7593 Si
3.5249 17.9925 4.6940 Si
1.9713 9.1408 4.6840 Si
9.8507 7.3140 1.1060 Si
8.1398 2.9166 2.2400 Si
0.1145 9.5587 2.2980 Si
6.7622 4.1863 4.7675 Si
10.9634 0.6424 4.7098 Si
3.8611 19.5953 2.2300 Si
6.5338 11.0969 2.2558 Si
7.6464 17.7685 3.5599 Si
1.6449 4.6421 2.3054 Si
2.3074 7.5380 2.2400 Si
0.3973 18.6108 4.7083 Si
1.2027 3.1332 4.7647 Si
5.4351 8.1563 2.2543 Si
0.9299 6.2683 4.7675 Si
4.9025 16.7228 2.3135 Si
6.2297 12.7528 4.7083 Si
1.8140 13.5951 3.5599 Si
11.2674 2.2982 2.2543 Si
9.6935 11.7682 2.2300 Si
9.3573 13.3711 4.6940 Si
5.1310 9.8121 4.7098 Si
10.7349 14.6408 2.3135 Si
4.0184 3.1405 1.1060 Si
7.4773 5.8125 2.3054 Si
7.0350 7.3213 4.7647 Si
9.8581 7.3013 3.5425 Si
1.8067 13.6077 1.0886 Si
0.7014 20.2667 2.2558 Si
8.3492 10.2958 4.5959 Na
2.5168 0.1587 4.5959 Na
9.1479 20.7503 2.1420 Na
9.9624 3.9553 4.6409 Na
3.3156 10.6132 2.1420 Na
7.5347 14.4098 2.1869 Na
4.1300 6.4993 4.6409 Na
1.7023 16.9538 2.1869 Na
```